1.
## CeGaAg (PBE)

Data for a relaxed CeGaAg crystal.

## Properties
**Calculated total energy**: -25.876 eV for the cell shown
**Total magnetization**: 0.2219 μB/atom

abc: 5.7558 5.7558 7.3217
angles: 52.45 52.45 47.92
Last column: nearest neighbours and their distance in Å.
Fractional coordinates of all 6 atoms:
Ag (0.1723, 0.1723, 0.2761)  3 Ga 2.69-2.94, 1 Ag 2.83
Ag (0.8277, 0.8277, 0.7239)  3 Ga 2.69-2.94, 1 Ag 2.83
Ce (0.5319, 0.5319, 0.7095)  6 Ag 3.13-3.39, 6 Ga 3.20-3.36
Ce (0.4681, 0.4681, 0.2905)  6 Ag 3.13-3.39, 6 Ga 3.20-3.36
Ga (0.8412, 0.8412, 0.1116)  1 Ga 2.56, 2 Ag 2.69
Ga (0.1588, 0.1588, 0.8884)  1 Ga 2.56, 2 Ag 2.69



2.
## Ba3Ge2N4 (PBE)

Data for a relaxed Ba3Ge2N4 crystal.

## Properties
**Calculated total energy**: -204.471 eV for the cell shown
**Total magnetization**: 0.0000 μB/atom

abc: 6.1859 10.8330 10.3235
angles: 90.00 90.00 90.00
Last column: nearest neighbours and their distance in Å.
Fractional coordinates of all 36 atoms:
Ba (0.3780, 0.6597, 0.5815)  3 N 2.57-2.81
Ba (0.1220, 0.1597, 0.9185)  3 N 2.57-2.81
Ba (0.2500, 0.5000, 0.8980)  6 N 2.94-3.28
Ba (0.6220, 0.1597, 0.0815)  3 N 2.57-2.81
Ba (0.7500, 0.5000, 0.1020)  6 N 2.94-3.28
Ba (0.8780, 0.8403, 0.0815)  3 N 2.57-2.81
Ba (0.3780, 0.8403, 0.9185)  3 N 2.57-2.81
Ba (0.6220, 0.3403, 0.4185)  3 N 2.57-2.81
Ba (0.8780, 0.6597, 0.4185)  3 N 2.57-2.81
Ba (0.7500, 0.0000, 0.3980)  6 N 2.94-3.28
Ba (0.1220, 0.3403, 0.5815)  3 N 2.57-2.81
Ba (0.2500, 0.0000, 0.6020)  6 N 2.94-3.28
N (0.5171, 0.4475, 0.6560)  1 Ge 1.87
N (0.7899, 0.3525, 0.8642)  2 Ge 1.96-2.06
N (0.7101, 0.6475, 0.8642)  2 Ge 1.96-2.06
N (0.2899, 0.1475, 0.3642)  2 Ge 1.96-2.06
N (0.7101, 0.8525, 0.6358)  2 Ge 1.96-2.06
N (0.0171, 0.0525, 0.1560)  1 Ge 1.87
N (0.2101, 0.6475, 0.1358)  2 Ge 1.96-2.06
N (0.4829, 0.5525, 0.3440)  1 Ge 1.87
N (0.4829, 0.9475, 0.1560)  1 Ge 1.87
N (0.7899, 0.1475, 0.6358)  2 Ge 1.96-2.06
N (0.9829, 0.5525, 0.6560)  1 Ge 1.87
N (0.2101, 0.8525, 0.3642)  2 Ge 1.96-2.06
N (0.2899, 0.3525, 0.1358)  2 Ge 1.96-2.06
N (0.0171, 0.4475, 0.3440)  1 Ge 1.87
N (0.5171, 0.0525, 0.8440)  1 Ge 1.87
N (0.9829, 0.9475, 0.8440)  1 Ge 1.87
Ge (0.7500, 0.5000, 0.7569)  4 N 1.87-1.96
Ge (0.0844, 0.2500, 0.2500)  2 N 2.06
Ge (0.7500, 0.0000, 0.7431)  4 N 1.87-1.96
Ge (0.9156, 0.7500, 0.7500)  2 N 2.06
Ge (0.5844, 0.2500, 0.7500)  2 N 2.06
Ge (0.4156, 0.7500, 0.2500)  2 N 2.06
Ge (0.2500, 0.0000, 0.2569)  4 N 1.87-1.96
Ge (0.2500, 0.5000, 0.2431)  4 N 1.87-1.96



3.
## Na21Ca8Ta4Si3P15O72 (PBE)

Data for a relaxed Na21Ca8Ta4Si3P15O72 crystal.

## Properties
**Calculated total energy**: -851.199 eV for the cell shown
**Total magnetization**: 0.0000 μB/atom

abc: 9.3391 9.3650 22.4441
angles: 89.99 90.12 120.19
Last column: nearest neighbours and their distance in Å.
Fractional coordinates of all 123 atoms:
O (0.4923, 0.1216, 0.2515)  1 P 1.54
O (0.3247, 0.8836, 0.9788)  1 P 1.51
O (0.7333, 0.9466, 0.6884)  1 P 1.56
O (0.7504, 0.8040, 0.1977)  1 P 1.55
O (0.8400, 0.3701, 0.9193)  1 Si 1.71
O (0.8656, 0.3574, 0.2515)  1 P 1.55
O (0.0302, 0.2456, 0.1951)  1 P 1.54
O (0.6419, 0.1276, 0.7491)  1 P 1.55
O (0.5076, 0.8196, 0.7635)  1 P 1.60
O (0.8428, 0.3286, 0.5274)  1 P 1.64
O (0.3647, 0.5015, 0.3705)  1 P 1.59
O (0.2122, 0.1913, 0.7973)  1 P 1.51
O (0.9866, 0.1824, 0.9135)  1 Si 1.58
O (0.5723, 0.8723, 0.4819)  1 Si 1.59
O (0.6686, 0.5124, 0.5276)  1 P 1.62
O (0.9884, 0.7788, 0.8067)  1 P 1.52
O (0.8369, 0.0453, 0.0754)  1 P 1.54
O (0.6248, 0.1501, 0.4229)  1 Si 1.70
O (0.8076, 0.0164, 0.7963)  1 P 1.52
O (0.2018, 0.0378, 0.5752)  1 P 1.55
O (0.2021, 0.9544, 0.1987)  1 P 1.54
O (0.6622, 0.1202, 0.1408)  1 P 1.52
O (0.2115, 0.2687, 0.6898)  1 P 1.55
O (0.7845, 0.7831, 0.3090)  1 P 1.53
O (0.3143, 0.8150, 0.2614)  1 P 1.61
O (0.8340, 0.7947, 0.5745)  1 P 1.55
O (0.1451, 0.5069, 0.8695)  1 Si 1.76, 1 Ta 1.91
O (0.6269, 0.4797, 0.9191)  1 P 1.58
O (0.4879, 0.3591, 0.7489)  1 P 1.54
O (0.6646, 0.5242, 0.2501)  1 P 1.53
O (0.4948, 0.8565, 0.3673)  1 Si 1.71
O (0.5203, 0.8684, 0.0782)  1 P 1.54
O (0.9551, 0.7937, 0.0764)  1 P 1.55
O (0.1055, 0.4452, 0.9850)  1 Si 1.58
O (0.9865, 0.2154, 0.3076)  1 P 1.53
O (0.8216, 0.0184, 0.4091)  1 Si 1.60
O (0.1749, 0.4958, 0.2619)  1 P 1.59
O (0.2055, 0.1653, 0.0749)  1 P 1.55
O (0.2296, 0.0006, 0.3112)  1 P 1.52
O (0.6675, 0.1597, 0.0287)  1 P 1.63
O (0.0500, 0.7975, 0.6959)  1 P 1.55
O (0.3124, 0.4299, 0.4795)  1 P 1.51
O (0.9942, 0.8120, 0.4104)  1 Si 1.60
O (0.1332, 0.6579, 0.0789)  1 P 1.54
O (0.5162, 0.3755, 0.4210)  1 P 1.59
O (0.4829, 0.3293, 0.0241)  1 P 1.61
O (0.4839, 0.1562, 0.5280)  1 P 1.62
O (0.5155, 0.6440, 0.5802)  1 P 1.54
O (0.1228, 0.6886, 0.4830)  1 Si 1.59
O (0.3506, 0.8699, 0.5804)  1 P 1.54
O (0.8738, 0.5137, 0.7501)  1 P 1.54
O (0.3498, 0.4816, 0.0777)  1 P 1.54
O (0.5696, 0.6778, 0.9791)  1 P 1.51
O (0.8769, 0.5386, 0.1396)  1 P 1.52
O (0.4539, 0.1247, 0.6408)  1 P 1.52
O (0.3155, 0.4918, 0.7658)  1 P 1.61
O (0.9572, 0.1618, 0.5747)  1 P 1.54
O (0.5071, 0.1453, 0.9197)  1 P 1.57
O (0.5033, 0.6766, 0.2640)  1 P 1.59
O (0.3687, 0.8639, 0.8685)  1 P 1.62
O (0.8073, 0.7843, 0.9072)  1 P 1.51
O (0.5059, 0.6394, 0.8684)  1 P 1.61
O (0.8784, 0.3338, 0.6401)  1 P 1.52
O (0.6701, 0.5446, 0.6405)  1 P 1.52
O (0.1924, 0.9826, 0.9065)  1 P 1.51
O (0.8402, 0.5145, 0.0268)  1 P 1.64
O (0.8439, 0.4809, 0.4221)  1 Si 1.69
O (0.1407, 0.6342, 0.3681)  1 Si 1.71
O (0.1833, 0.6874, 0.7639)  1 P 1.61
O (0.2069, 0.1981, 0.4073)  1 P 1.52
O (0.1326, 0.4775, 0.5786)  1 P 1.53
O (0.4677, 0.3401, 0.1351)  1 P 1.51
Na (0.3370, 0.6702, 0.6629)  6 O 2.59-2.80
Na (0.6538, 0.3178, 0.8335)  6 O 2.45-2.71
Na (0.6683, 0.0113, 0.2411)  3 O 2.35-2.61
Na (0.9828, 0.2992, 0.4059)  2 O 2.28-2.35
Na (0.0014, 0.0326, 0.9933)  3 O 2.32-2.48
Na (0.3325, 0.6432, 0.1624)  5 O 2.48-2.72
Na (0.9864, 0.6440, 0.2411)  2 O 2.34-2.49
Na (0.6597, 0.9501, 0.5786)  4 O 2.30-2.56
Na (0.9883, 0.9893, 0.4954)  5 O 2.43-2.58
Na (0.7099, 0.6998, 0.4097)  2 O 2.31-2.38
Na (0.0460, 0.3417, 0.0774)  3 O 2.24-2.46
Na (0.6501, 0.3342, 0.3226)  3 O 2.36-2.49
Na (0.2947, 0.3387, 0.5833)  6 O 2.44-2.73
Na (0.3071, 0.0094, 0.4101)  4 O 2.32-2.59
Na (0.2937, 0.9542, 0.0811)  4 O 2.40-2.62
Na (0.9857, 0.3357, 0.7482)  2 O 2.37-2.62
Na (0.3504, 0.0101, 0.7473)  3 O 2.37-2.64
Na (0.9849, 0.6820, 0.9132)  4 O 2.30-2.55
Na (0.0478, 0.7086, 0.5773)  3 O 2.27-2.50
Na (0.6603, 0.6497, 0.7469)  3 O 2.37-2.64
Na (0.6630, 0.7042, 0.0810)  4 O 2.41-2.60
Ta (0.3318, 0.6668, 0.3211)  6 O 1.96-2.05
Ta (0.3332, 0.6628, 0.8247)  6 O 1.91-2.07
Ta (0.6641, 0.3296, 0.9783)  6 O 1.96-2.09
Ta (0.6691, 0.3328, 0.4788)  6 O 1.97-2.11
Si (0.0268, 0.6615, 0.4218)  4 O 1.59-1.71
Si (0.6345, 0.9739, 0.4214)  4 O 1.59-1.71
Si (0.0187, 0.3631, 0.9237)  4 O 1.58-1.76
P (0.6716, 0.6279, 0.5820)  4 O 1.52-1.62
P (0.0164, 0.6943, 0.7537)  4 O 1.52-1.61
P (0.9580, 0.3258, 0.5820)  4 O 1.52-1.64
P (0.0105, 0.3222, 0.2529)  4 O 1.53-1.59
P (0.6804, 0.6944, 0.2541)  4 O 1.53-1.59
P (0.3098, 0.9845, 0.2547)  4 O 1.52-1.61
P (0.6783, 0.9839, 0.7491)  4 O 1.52-1.60
P (0.3690, 0.0428, 0.5823)  4 O 1.52-1.62
P (0.6719, 0.0437, 0.0822)  4 O 1.52-1.63
P (0.3450, 0.3730, 0.4207)  4 O 1.51-1.59
P (0.3726, 0.3293, 0.0793)  4 O 1.51-1.61
P (0.3068, 0.3202, 0.7501)  4 O 1.51-1.61
P (0.9558, 0.6296, 0.0818)  4 O 1.52-1.64
P (0.6310, 0.6508, 0.9204)  4 O 1.51-1.61
P (0.3449, 0.9708, 0.9201)  4 O 1.51-1.62
Ca (0.6587, 0.3311, 0.1849)  6 O 2.14-2.35
Ca (0.0052, 0.0052, 0.3442)  6 O 2.21-2.32
Ca (0.3348, 0.6687, 0.5129)  6 O 2.18-2.36
Ca (0.9982, 0.0001, 0.6512)  6 O 2.40-2.46
Ca (0.9989, 0.0080, 0.8515)  6 O 2.19-2.33
Ca (0.3350, 0.6638, 0.0117)  6 O 2.17-2.39
Ca (0.0059, 0.0087, 0.1508)  6 O 2.34-2.47
Ca (0.6684, 0.3339, 0.6846)  6 O 2.20-2.33



4.
## K2BiPCO7 (PBE)

Data for a relaxed K2BiPCO7 crystal.

## Properties
**Calculated total energy**: -156.012 eV for the cell shown
**Total magnetization**: 0.0001 μB/atom

abc: 7.2814 5.8923 9.9063
angles: 85.60 90.00 90.00
Last column: nearest neighbours and their distance in Å.
Fractional coordinates of all 24 atoms:
C (0.2500, 0.2773, 0.0983)  3 O 1.25-1.34
C (0.7500, 0.7227, 0.9017)  3 O 1.25-1.34
O (0.2500, 0.8198, 0.4291)  1 P 1.58
O (0.5765, 0.1971, 0.3446)  1 P 1.56
O (0.2500, 0.0763, 0.1706)  1 C 1.34
O (0.2500, 0.2917, 0.9719)  1 C 1.25
O (0.7500, 0.7083, 0.0281)  1 C 1.25
O (0.7500, 0.5456, 0.4192)  1 P 1.55
O (0.0765, 0.8029, 0.6554)  1 P 1.56
O (0.4235, 0.8029, 0.6554)  1 P 1.56
O (0.7500, 0.5449, 0.8280)  1 C 1.32
O (0.2500, 0.4551, 0.1720)  1 C 1.32
O (0.2500, 0.4544, 0.5808)  1 P 1.55
O (0.7500, 0.1802, 0.5709)  1 P 1.58
O (0.7500, 0.9237, 0.8294)  1 C 1.34
O (0.9235, 0.1971, 0.3446)  1 P 1.56
Bi (0.2500, 0.2116, 0.3800)  6 O 2.28-2.54
Bi (0.7500, 0.7884, 0.6200)  6 O 2.28-2.54
K (0.9873, 0.7527, 0.2222)  5 O 2.61-2.85
K (0.4873, 0.2473, 0.7778)  5 O 2.61-2.85
K (0.0127, 0.2473, 0.7778)  5 O 2.61-2.85
K (0.5127, 0.7527, 0.2222)  5 O 2.61-2.85
P (0.7500, 0.2824, 0.4182)  4 O 1.55-1.58
P (0.2500, 0.7176, 0.5818)  4 O 1.55-1.58



5.
## Pr3NbCl6O4 (PBE)

Data for a relaxed Pr3NbCl6O4 crystal.

## Properties
**Calculated total energy**: -183.448 eV for the cell shown
**Total magnetization**: 0.0001 μB/atom

abc: 12.9455 12.9455 3.9964
angles: 90.00 90.00 120.00
Last column: nearest neighbours and their distance in Å.
Fractional coordinates of all 28 atoms:
Nb (0.3333, 0.6667, 0.2500)  5 O 1.92-2.00
Nb (0.6667, 0.3333, 0.7500)  5 O 1.92-2.00
Pr (0.3954, 0.1144, 0.2500)  2 O 2.39
Pr (0.1144, 0.7190, 0.7500)  2 O 2.39
Pr (0.6046, 0.8856, 0.7500)  2 O 2.39
Pr (0.8856, 0.2810, 0.2500)  2 O 2.39
Pr (0.2810, 0.3954, 0.7500)  2 O 2.39
Pr (0.7190, 0.6046, 0.2500)  2 O 2.39
Cl (0.9301, 0.5581, 0.2500)  4 Pr 3.01-3.34, 2 O 3.03-3.19
Cl (0.0699, 0.4419, 0.7500)  4 Pr 3.01-3.34, 2 O 3.03-3.19
Cl (0.4419, 0.3719, 0.2500)  4 Pr 3.01-3.34, 2 O 3.03-3.19
Cl (0.5581, 0.6281, 0.7500)  4 Pr 3.01-3.34, 2 O 3.03-3.19
Cl (0.3719, 0.9301, 0.7500)  4 Pr 3.01-3.34, 2 O 3.03-3.19
Cl (0.1441, 0.8960, 0.2500)  3 Pr 2.92-3.06, 1 O 3.06
Cl (0.1040, 0.2482, 0.2500)  3 Pr 2.92-3.06, 1 O 3.06
Cl (0.8960, 0.7518, 0.7500)  3 Pr 2.92-3.06, 1 O 3.06
Cl (0.2482, 0.1441, 0.7500)  3 Pr 2.92-3.06, 1 O 3.06
Cl (0.6281, 0.0699, 0.2500)  4 Pr 3.01-3.34, 2 O 3.03-3.19
Cl (0.7518, 0.8559, 0.2500)  3 Pr 2.92-3.06, 1 O 3.06
Cl (0.8559, 0.1040, 0.7500)  3 Pr 2.92-3.06, 1 O 3.06
O (0.8001, 0.3075, 0.7500)  1 Nb 1.92
O (0.1999, 0.6925, 0.2500)  1 Nb 1.92
O (0.6925, 0.4926, 0.7500)  1 Nb 1.92
O (0.3333, 0.6667, 0.7500)  2 Nb 2.00
O (0.4926, 0.8001, 0.2500)  1 Nb 1.92
O (0.6667, 0.3333, 0.2500)  2 Nb 2.00
O (0.5074, 0.1999, 0.7500)  1 Nb 1.92
O (0.3075, 0.5074, 0.2500)  1 Nb 1.92



6.
## Ba10Er5Cu15O34 (PBE)

Data for a relaxed Ba10Er5Cu15O34 crystal.

## Properties
**Calculated total energy**: -389.471 eV for the cell shown
**Total magnetization**: 0.0085 μB/atom

abc: 8.6228 8.7570 12.5324
angles: 106.38 98.23 88.83
Last column: nearest neighbours and their distance in Å.
Fractional coordinates of all 64 atoms:
O (0.2755, 0.0512, 0.3800)  2 Cu 1.98
O (0.9235, 0.3472, 0.6175)  2 Cu 1.98
O (0.5766, 0.1532, 0.3828)  2 Cu 1.93-1.94
O (0.5319, 0.5637, 0.1592)  1 Cu 1.89
O (0.3334, 0.1643, 0.1592)  1 Cu 1.89
O (0.1224, 0.7466, 0.1515)  1 Cu 1.82
O (0.8776, 0.2534, 0.8485)  1 Cu 1.82
O (0.8765, 0.2528, 0.3793)  2 Cu 1.98-1.99
O (0.4681, 0.4363, 0.8408)  1 Cu 1.89
O (0.9762, 0.9531, 0.3823)  2 Cu 1.94
O (0.0765, 0.6528, 0.3825)  2 Cu 1.98
O (0.3765, 0.7529, 0.3824)  2 Cu 1.94
O (0.9385, 0.3749, 0.1521)  1 Cu 1.83
O (0.5243, 0.5476, 0.6194)  2 Cu 1.99
O (0.7303, 0.9628, 0.1591)  1 Cu 1.89
O (0.2232, 0.4471, 0.6176)  2 Cu 1.93-1.94
O (0.6666, 0.8357, 0.8408)  1 Cu 1.89
O (0.3236, 0.1478, 0.6192)  2 Cu 1.98-1.99
O (0.2697, 0.0372, 0.8409)  1 Cu 1.89
O (0.7768, 0.5529, 0.3824)  2 Cu 1.93-1.94
O (0.4757, 0.4524, 0.3806)  2 Cu 1.99
O (0.6007, 0.6932, 0.9999)  2 Cu 1.92-1.98
O (0.6764, 0.8522, 0.3808)  2 Cu 1.98-1.99
O (0.1235, 0.7472, 0.6207)  2 Cu 1.98-1.99
O (0.7948, 0.0884, 0.0000)  2 Cu 1.90-1.96
O (0.7245, 0.9488, 0.6200)  2 Cu 1.98
O (0.3993, 0.3068, 0.0001)  2 Cu 1.92-1.98
O (0.0615, 0.6251, 0.8479)  1 Cu 1.83
O (0.0238, 0.0469, 0.6177)  2 Cu 1.94
O (0.8237, 0.6471, 0.6176)  2 Cu 1.93-1.94
O (0.1763, 0.3529, 0.3824)  2 Cu 1.93-1.94
O (0.2052, 0.9116, 0.0000)  2 Cu 1.90-1.96
O (0.6235, 0.2471, 0.6176)  2 Cu 1.94
O (0.4234, 0.8468, 0.6172)  2 Cu 1.93-1.94
Ba (0.3631, 0.7279, 0.8186)  8 O 2.75-3.06
Ba (0.0363, 0.0726, 0.1817)  10 O 2.78-3.10
Ba (0.6369, 0.2721, 0.1814)  8 O 2.75-3.06
Ba (0.2450, 0.4724, 0.1890)  9 O 2.72-3.04
Ba (0.7550, 0.5276, 0.8110)  9 O 2.72-3.04
Ba (0.5645, 0.1269, 0.8183)  8 O 2.75-3.05
Ba (0.4355, 0.8731, 0.1817)  8 O 2.75-3.05
Ba (0.9637, 0.9274, 0.8183)  10 O 2.78-3.10
Ba (0.8307, 0.6788, 0.1889)  9 O 2.72-3.04
Ba (0.1693, 0.3212, 0.8111)  9 O 2.72-3.04
Cu (0.1060, 0.7123, 0.0003)  3 O 1.82-1.96
Cu (0.8940, 0.2877, 0.9997)  3 O 1.82-1.96
Cu (0.6283, 0.7576, 0.6414)  4 O 1.94-1.99
Cu (0.9725, 0.4449, 0.3601)  4 O 1.93-1.98
Cu (0.2286, 0.9557, 0.6413)  4 O 1.93-1.99
Cu (0.4281, 0.3561, 0.6406)  4 O 1.94-1.99
Cu (0.8282, 0.1565, 0.6397)  4 O 1.94-1.98
Cu (0.1718, 0.8435, 0.3603)  4 O 1.94-1.98
Cu (0.5000, 0.5000, 0.0000)  4 O 1.89-1.92
Cu (0.3015, 0.1046, 0.9999)  4 O 1.89-1.98
Cu (0.0275, 0.5551, 0.6399)  4 O 1.93-1.98
Cu (0.6985, 0.8954, 0.0001)  4 O 1.89-1.98
Cu (0.3717, 0.2424, 0.3586)  4 O 1.94-1.99
Cu (0.5719, 0.6439, 0.3594)  4 O 1.94-1.99
Cu (0.7714, 0.0443, 0.3587)  4 O 1.93-1.99
Er (0.9005, 0.8006, 0.5013)  8 O 2.38-2.43
Er (0.3003, 0.6006, 0.5013)  8 O 2.38-2.43
Er (0.0995, 0.1994, 0.4987)  8 O 2.38-2.43
Er (0.6997, 0.3994, 0.4987)  8 O 2.38-2.43
Er (0.5000, 0.0000, 0.5000)  8 O 2.39-2.42



7.
## BaMg2As2 (PBE)

Data for a relaxed BaMg2As2 crystal.

## Properties
**Calculated total energy**: -19.163 eV for the cell shown

abc: 4.5221 4.5221 7.7926
angles: 90.00 90.00 120.00
Last column: nearest neighbours and their distance in Å.
Fractional coordinates of all 5 atoms:
As (0.6667, 0.3333, 0.7270)  4 Mg 2.73
As (0.3333, 0.6667, 0.2730)  4 Mg 2.73
Mg (0.6667, 0.3333, 0.3771)  4 As 2.73
Mg (0.3333, 0.6667, 0.6229)  4 As 2.73
Ba (0.0000, 0.0000, 0.0000)  6 As 3.37



8.
## La4BiPb2 (PBE)

Data for a relaxed La4BiPb2 crystal.

## Properties
**Calculated total energy**: -72.232 eV for the cell shown

abc: 8.5738 8.5738 8.5738
angles: 109.35 109.35 109.71
Last column: nearest neighbours and their distance in Å.
Fractional coordinates of all 14 atoms:
La (0.3729, 0.1237, 0.6053)  4 Pb 3.29-3.56, 2 Bi 3.32-3.56
La (0.2325, 0.6271, 0.7508)  4 Pb 3.29-3.56, 2 Bi 3.32-3.56
La (0.8771, 0.9825, 0.2508)  4 Pb 3.29-3.56, 2 Bi 3.32-3.56
La (0.5183, 0.7675, 0.3947)  4 Pb 3.29-3.56, 2 Bi 3.32-3.56
La (0.3737, 0.1229, 0.1053)  4 Pb 3.29-3.56, 2 Bi 3.32-3.56
La (0.7317, 0.6263, 0.7492)  4 Pb 3.29-3.56, 2 Bi 3.32-3.56
La (0.8763, 0.4817, 0.2492)  4 Pb 3.29-3.56, 2 Bi 3.32-3.56
La (0.0175, 0.2683, 0.8947)  4 Pb 3.29-3.56, 2 Bi 3.32-3.56
Pb (0.9988, 0.8750, 0.6238)  8 La 3.29-3.56
Pb (0.2512, 0.3750, 0.3762)  8 La 3.29-3.56
Pb (0.6250, 0.0012, 0.8762)  8 La 3.29-3.56
Pb (0.1250, 0.7488, 0.1238)  8 La 3.29-3.56
Bi (0.7500, 0.2500, 0.5000)  8 La 3.32-3.56
Bi (0.5000, 0.5000, 0.0000)  8 La 3.32-3.56



> calculated total energy of number 6 (Ba10Er5Cu15O34)?

-389.471 eV for the cell shown